1.
A plane-wave DFT calculation with GGA-PBE was carried out for crystalline GaAgS2 at its relaxed geometry.

Geometry as POSCAR:
```
GaAgS2
1.0
3.6015 -2.1011 5.2454
-4.0700 0.7481 5.2702
-1.1789 -3.1237 -5.8097
Ga Ag S
2 2 4
direct
0.2500 0.7500 0.5000
0.5000 0.5000 0.0000
0.0000 0.0000 0.0000
0.7500 0.2500 0.5000
0.5875 0.6250 0.4625
0.3750 0.8375 0.9625
0.1625 0.1250 0.5375
0.8750 0.4125 0.0375
```

Computed properties:
Piezoelectric modulus e_max = 0.3 C/m²



2.
A plane-wave DFT calculation with GGA-PBE was carried out for crystalline KZn2CdB2O6F at its relaxed geometry.

Geometry as POSCAR:
```
KZn2CdB2O6F
1.0
2.5463 -4.4103 0.0000
2.5463 4.4103 0.0000
0.0000 0.0000 15.4133
K Zn Cd B O F
2 4 2 4 12 2
direct
0.0000 0.0000 0.7500
0.0000 0.0000 0.2500
0.6667 0.3333 0.6163
0.3333 0.6667 0.1163
0.3333 0.6667 0.3837
0.6667 0.3333 0.8837
0.0000 0.0000 0.5000
0.0000 0.0000 0.0000
0.3333 0.6667 0.5951
0.6667 0.3333 0.0951
0.6667 0.3333 0.4049
0.3333 0.6667 0.9049
0.6132 0.9317 0.5955
0.3186 0.3869 0.5955
0.0683 0.6814 0.5955
0.6814 0.0683 0.0955
0.3869 0.3186 0.0955
0.9317 0.6132 0.0955
0.3869 0.0683 0.4045
0.6814 0.6132 0.4045
0.9317 0.3186 0.4045
0.3186 0.9317 0.9045
0.6132 0.6814 0.9045
0.0683 0.3869 0.9045
0.6667 0.3333 0.7500
0.3333 0.6667 0.2500
```



3.
A plane-wave DFT calculation with GGA-PBE was carried out for crystalline GaHO2 at its relaxed geometry.

Geometry as POSCAR:
```
GaHO2
1.0
3.0549 0.0000 0.0000
0.0000 3.8217 0.0000
0.0000 0.0000 13.5715
Ga H O
4 4 8
direct
0.7500 0.2481 0.1820
0.2500 0.7481 0.3180
0.7500 0.2519 0.6820
0.2500 0.7519 0.8180
0.2500 0.5063 0.0602
0.7500 0.0063 0.4398
0.2500 0.9937 0.5602
0.7500 0.4937 0.9398
0.2500 0.2683 0.0868
0.2500 0.2504 0.2872
0.7500 0.7504 0.2128
0.7500 0.7683 0.4132
0.2500 0.2317 0.5868
0.2500 0.2496 0.7872
0.7500 0.7496 0.7128
0.7500 0.7317 0.9132
```



4.
A plane-wave DFT calculation with GGA-PBE was carried out for crystalline SiSb3 at its relaxed geometry.

Geometry as POSCAR:
```
SiSb3
1.0
3.2248 -5.5856 0.0000
3.2248 5.5856 0.0000
0.0000 0.0000 5.5622
Si Sb
2 6
direct
0.3333 0.6667 0.7500
0.6667 0.3333 0.2500
0.1746 0.3493 0.2500
0.6507 0.8254 0.2500
0.1746 0.8254 0.2500
0.8254 0.6507 0.7500
0.3493 0.1746 0.7500
0.8254 0.1746 0.7500
```



5.
A plane-wave DFT calculation with GGA-PBE was carried out for crystalline BaMgSb4O8 at its relaxed geometry.

Geometry as POSCAR:
```
BaMgSb4O8
1.0
-0.7170 3.3241 5.1028
-4.1204 0.3997 -4.5238
-3.7675 -5.3543 2.9585
Ba Mg Sb O
1 1 4 8
direct
0.0000 0.0000 0.0000
0.0000 0.0000 0.5000
0.3333 0.6667 0.7176
0.6667 0.3333 0.7176
0.3333 0.6667 0.2824
0.6667 0.3333 0.2824
0.2867 0.2867 0.6999
0.7133 0.0000 0.6999
0.0000 0.7133 0.6999
0.7133 0.7133 0.3001
0.0000 0.2867 0.3001
0.2867 0.0000 0.3001
0.3333 0.6667 0.0000
0.6667 0.3333 0.0000
```



6.
A plane-wave DFT calculation with GGA-PBE was carried out for crystalline SiC at its relaxed geometry.

Geometry as POSCAR:
```
SiC
1.0
1.1591 2.7965 0.6594
-0.4032 2.3499 -1.9785
-53.5640 17.1203 28.8233
Si C
25 25
direct
0.0000 0.0000 0.9999
0.9600 0.9600 0.1199
0.9069 0.9069 0.2794
0.8801 0.8801 0.3598
0.8532 0.8532 0.4405
0.8000 0.8000 0.6001
0.7467 0.7467 0.7599
0.7200 0.7200 0.8399
0.6933 0.6933 0.9200
0.6400 0.6400 0.0799
0.6134 0.6134 0.1598
0.5868 0.5868 0.2395
0.5333 0.5333 0.4002
0.4932 0.4932 0.5204
0.4400 0.4400 0.6800
0.4000 0.4000 0.8000
0.3467 0.3467 0.9599
0.3200 0.3200 0.0400
0.2668 0.2668 0.1996
0.2268 0.2268 0.3196
0.1732 0.1732 0.4805
0.1466 0.1466 0.5602
0.1200 0.1200 0.6400
0.0933 0.0933 0.7200
0.0400 0.0400 0.8799
0.9900 0.9900 0.0301
0.9500 0.9500 0.1500
0.8968 0.8968 0.3095
0.8700 0.8700 0.3901
0.8431 0.8431 0.4706
0.7899 0.7899 0.6302
0.7367 0.7367 0.7900
0.7100 0.7100 0.8700
0.6833 0.6833 0.9500
0.6300 0.6300 0.1099
0.6034 0.6034 0.1897
0.5768 0.5768 0.2695
0.5232 0.5232 0.4305
0.4832 0.4832 0.5504
0.4300 0.4300 0.7101
0.3900 0.3900 0.8301
0.3367 0.3367 0.9900
0.3100 0.3100 0.0700
0.2568 0.2568 0.2297
0.2167 0.2167 0.3499
0.1632 0.1632 0.5105
0.1366 0.1366 0.5902
0.1100 0.1100 0.6700
0.0833 0.0833 0.7500
0.0300 0.0300 0.9101
```

Computed properties:
Excess energy over the best structure of this formula in the dataset = 32 meV per atom



7.
A plane-wave DFT calculation with GGA-PBE was carried out for crystalline Al3P3H7CNO13 at its relaxed geometry.

Geometry as POSCAR:
```
Al3P3H7CNO13
1.0
-1.5109 -10.1895 -1.5144
-0.6715 -1.9731 13.9464
-17.0375 2.5937 -0.4533
Al P H C N O
24 24 56 8 8 104
direct
0.8305 0.0224 0.1978
0.3305 0.9776 0.3022
0.1695 0.4776 0.6978
0.6695 0.5224 0.8022
0.1695 0.9776 0.8022
0.6695 0.0224 0.6978
0.8305 0.5224 0.3022
0.3305 0.4776 0.1978
0.8742 0.9370 0.3931
0.3742 0.0630 0.1069
0.1258 0.5630 0.8931
0.6258 0.4370 0.6069
0.1258 0.0630 0.6069
0.6258 0.9370 0.8931
0.8742 0.4370 0.1069
0.3742 0.5630 0.3931
0.6215 0.2578 0.3074
0.1215 0.7422 0.1926
0.3785 0.2422 0.8074
0.8785 0.7578 0.6926
0.3785 0.7422 0.6926
0.8785 0.2578 0.8074
0.6215 0.7578 0.1926
0.1215 0.2422 0.3074
0.8672 0.2467 0.2034
0.3672 0.7533 0.2966
0.1328 0.2533 0.7034
0.6328 0.7467 0.7966
0.1328 0.7533 0.7966
0.6328 0.2467 0.7034
0.8672 0.7467 0.2966
0.3672 0.2533 0.2034
0.6269 0.0403 0.3373
0.1269 0.9597 0.1627
0.3731 0.4597 0.8373
0.8731 0.5403 0.6627
0.3731 0.9597 0.6627
0.8731 0.0403 0.8373
0.6269 0.5403 0.1627
0.1269 0.4597 0.3373
0.8708 0.9340 0.5803
0.3708 0.0660 0.9197
0.1292 0.5660 0.0803
0.6292 0.4340 0.4197
0.1292 0.0660 0.4197
0.6292 0.9340 0.0803
0.8708 0.4340 0.9197
0.3708 0.5660 0.5803
0.9647 0.8955 0.9427
0.4647 0.1045 0.5573
0.0353 0.6045 0.4427
0.5353 0.3955 0.0573
0.0353 0.1045 0.0573
0.5353 0.8955 0.4427
0.9647 0.3955 0.5573
0.4647 0.6045 0.9427
0.0279 0.8616 0.0284
0.5279 0.1384 0.4716
0.9721 0.6384 0.5284
0.4721 0.3616 0.9716
0.9721 0.1384 0.9716
0.4721 0.8616 0.5284
0.0279 0.3616 0.4716
0.5279 0.6384 0.0284
0.8789 0.9032 0.0244
0.3789 0.0968 0.4756
0.1211 0.5968 0.5244
0.6211 0.4032 0.9756
0.1211 0.0968 0.9756
0.6211 0.9032 0.5244
0.8789 0.4032 0.4756
0.3789 0.5968 0.0244
0.9976 0.9771 0.2832
0.4976 0.0229 0.2168
0.0024 0.5229 0.7832
0.5024 0.4771 0.7168
0.0024 0.0229 0.7168
0.5024 0.9771 0.7832
0.9976 0.4771 0.2168
0.4976 0.5229 0.2832
0.8798 0.7489 0.9227
0.3798 0.2511 0.5773
0.1202 0.7511 0.4227
0.6202 0.2489 0.0773
0.1202 0.2511 0.0773
0.6202 0.7489 0.4227
0.8798 0.2489 0.5773
0.3798 0.7511 0.9227
0.9667 0.7125 0.0071
0.4667 0.2875 0.4929
0.0333 0.7875 0.5071
0.5333 0.2125 0.9929
0.0333 0.2875 0.9929
0.5333 0.7125 0.5071
0.9667 0.2125 0.4929
0.4667 0.7875 0.0071
0.8050 0.7556 0.0152
0.3050 0.2444 0.4848
0.1950 0.7444 0.5152
0.6950 0.2556 0.9848
0.1950 0.2444 0.9848
0.6950 0.7556 0.5152
0.8050 0.2556 0.4848
0.3050 0.7444 0.0152
0.8960 0.7624 0.9843
0.3960 0.2376 0.5157
0.1040 0.7376 0.4843
0.6040 0.2624 0.0157
0.1040 0.2376 0.0157
0.6040 0.7624 0.4843
0.8960 0.2624 0.5157
0.3960 0.7376 0.9843
0.9456 0.8620 0.9950
0.4456 0.1380 0.5050
0.0544 0.6380 0.4950
0.5544 0.3620 0.0050
0.0544 0.1380 0.0050
0.5544 0.8620 0.4950
0.9456 0.3620 0.5050
0.4456 0.6380 0.9950
0.8298 0.1470 0.1763
0.3298 0.8530 0.3237
0.1702 0.3530 0.6763
0.6702 0.6470 0.8237
0.1702 0.8530 0.8237
0.6702 0.1470 0.6763
0.8298 0.6470 0.3237
0.3298 0.3530 0.1763
0.6177 0.1485 0.3580
0.1177 0.8515 0.1420
0.3823 0.3515 0.8580
0.8823 0.6485 0.6420
0.3823 0.8515 0.6420
0.8823 0.1485 0.8580
0.6177 0.6485 0.1420
0.1177 0.3515 0.3580
0.9033 0.9785 0.2876
0.4033 0.0215 0.2124
0.0967 0.5215 0.7876
0.5967 0.4785 0.7124
0.0967 0.0215 0.7124
0.5967 0.9785 0.7876
0.9033 0.4785 0.2124
0.4033 0.5215 0.2876
0.8594 0.3138 0.1338
0.3594 0.6862 0.3662
0.1406 0.1862 0.6338
0.6406 0.8138 0.8662
0.1406 0.6862 0.8662
0.6406 0.3138 0.6338
0.8594 0.8138 0.3662
0.3594 0.1862 0.1338
0.7216 0.9970 0.3958
0.2216 0.0030 0.1042
0.2784 0.5030 0.8958
0.7784 0.4970 0.6042
0.2784 0.0030 0.6042
0.7784 0.9970 0.8958
0.7216 0.4970 0.1042
0.2216 0.5030 0.3958
0.6690 0.0265 0.2520
0.1690 0.9735 0.2480
0.3310 0.4735 0.7520
0.8310 0.5265 0.7480
0.3310 0.9735 0.7480
0.8310 0.0265 0.7520
0.6690 0.5265 0.2480
0.1690 0.4735 0.2520
0.9683 0.0152 0.5860
0.4683 0.9848 0.9140
0.0317 0.4848 0.0860
0.5317 0.5152 0.4140
0.0317 0.9848 0.4140
0.5317 0.0152 0.0860
0.9683 0.5152 0.9140
0.4683 0.4848 0.5860
0.9201 0.8459 0.6261
0.4201 0.1541 0.8739
0.0799 0.6541 0.1261
0.5799 0.3459 0.3739
0.0799 0.1541 0.3739
0.5799 0.8459 0.1261
0.9201 0.3459 0.8739
0.4201 0.6541 0.6261
0.8492 0.9031 0.4965
0.3492 0.0969 0.0035
0.1508 0.5969 0.9965
0.6508 0.4031 0.5035
0.1508 0.0969 0.5035
0.6508 0.9031 0.9965
0.8492 0.4031 0.0035
0.3492 0.5969 0.4965
0.7389 0.9642 0.6141
0.2389 0.0358 0.8859
0.2611 0.5358 0.1141
0.7611 0.4642 0.3859
0.2611 0.0358 0.3859
0.7611 0.9642 0.1141
0.7389 0.4642 0.8859
0.2389 0.5358 0.6141
0.7754 0.2796 0.2693
0.2754 0.7204 0.2307
0.2246 0.2204 0.7693
0.7246 0.7796 0.7307
0.2246 0.7204 0.7307
0.7246 0.2796 0.7693
0.7754 0.7796 0.2307
0.2754 0.2204 0.2693
0.4953 0.9937 0.3519
0.9953 0.0063 0.1481
0.5047 0.5063 0.8519
0.0047 0.4937 0.6481
0.5047 0.0063 0.6481
0.0047 0.9937 0.8519
0.4953 0.4937 0.1481
0.9953 0.5063 0.3519
0.0066 0.2462 0.2340
0.5066 0.7538 0.2660
0.9934 0.2538 0.7340
0.4934 0.7462 0.7660
0.9934 0.7538 0.7660
0.4934 0.2462 0.7340
0.0066 0.7462 0.2660
0.5066 0.2538 0.2340
```



8.
A plane-wave DFT calculation with GGA-PBE was carried out for crystalline Ni6S5 at its relaxed geometry.

Geometry as POSCAR:
```
Ni6S5
1.0
-1.8536 2.5814 0.7196
-3.3829 -1.6806 4.6925
11.4513 5.3839 10.1836
Ni S
12 10
direct
0.4609 0.0781 0.1742
0.5369 0.9261 0.8260
0.4631 0.0739 0.3260
0.5391 0.9219 0.6742
0.6601 0.6798 0.2520
0.3399 0.3202 0.7520
0.1875 0.6249 0.0413
0.8032 0.3936 0.9631
0.1968 0.6064 0.4631
0.8125 0.3751 0.5413
0.9977 0.0045 0.4695
0.0023 0.9955 0.9695
0.8896 0.2208 0.8462
0.1047 0.7907 0.1576
0.8953 0.2093 0.6576
0.1104 0.7792 0.3462
0.3801 0.2399 0.0457
0.6237 0.7526 0.9493
0.3763 0.2474 0.4493
0.6199 0.7601 0.5457
0.8588 0.2823 0.2481
0.1412 0.7177 0.7481
```



The following formation energy from the elements values (in eV per atom) correspond, in order, to the records above: -0.7603; -2.3566; -1.8342; 0.3290; -1.8949; -0.1717; -2.1996; -0.5361.